(1)
VASP calculation (PBE) on a geometry-optimized LiH4CSNO2 structure.

Lattice parameters (Å, degrees): 5.8890 8.3815 9.9051 90.00 90.00 90.00
Fractional positions:
Li1 0.1151 0.2500 0.2131
Li2 0.3849 0.7500 0.7131
Li3 0.6151 0.2500 0.2869
Li4 0.8849 0.7500 0.7869
H1 0.1529 0.0169 0.7694
H2 0.1529 0.4831 0.7694
H3 0.1871 0.5714 0.9089
H4 0.1871 0.9286 0.9089
H5 0.3129 0.0714 0.4089
H6 0.3129 0.4286 0.4089
H7 0.3471 0.5169 0.2694
H8 0.3471 0.9831 0.2694
H9 0.6529 0.0169 0.7306
H10 0.6529 0.4831 0.7306
H11 0.6871 0.5714 0.5911
H12 0.6871 0.9286 0.5911
H13 0.8129 0.0714 0.0911
H14 0.8129 0.4286 0.0911
H15 0.8471 0.5169 0.2306
H16 0.8471 0.9831 0.2306
C1 0.0408 0.7500 0.4680
C2 0.4592 0.2500 0.9680
C3 0.5408 0.7500 0.0320
C4 0.9592 0.2500 0.5320
S1 0.1870 0.2500 0.6279
S2 0.3130 0.7500 0.1279
S3 0.6870 0.2500 0.8721
S4 0.8130 0.7500 0.3721
N1 0.2006 0.7500 0.5402
N2 0.2994 0.2500 0.0402
N3 0.7006 0.7500 0.9598
N4 0.7994 0.2500 0.4598
O1 0.1584 0.5889 0.8127
O2 0.1584 0.9111 0.8127
O3 0.3416 0.0889 0.3127
O4 0.3416 0.4111 0.3127
O5 0.6584 0.5889 0.6873
O6 0.6584 0.9111 0.6873
O7 0.8416 0.0889 0.1873
O8 0.8416 0.4111 0.1873

Output
Calculated formation energy in eV/f.u.: -9.624
Space-group type: Pnma

---

(2)
VASP calculation (PBE) on a geometry-optimized Hg3As2O8 structure.

Lattice parameters (Å, degrees): 10.3795 12.0345 6.6769 90.00 99.34 90.00
Fractional positions:
Hg1 0.0456 0.1190 0.1698
Hg2 0.0456 0.3810 0.6698
Hg3 0.2990 0.1021 0.6758
Hg4 0.2990 0.3979 0.1758
Hg5 0.3420 0.6711 0.5892
Hg6 0.3420 0.8289 0.0892
Hg7 0.6580 0.1711 0.9108
Hg8 0.6580 0.3289 0.4108
Hg9 0.7010 0.6021 0.8242
Hg10 0.7010 0.8979 0.3242
Hg11 0.9544 0.6190 0.3302
Hg12 0.9544 0.8810 0.8302
As1 0.0981 0.6330 0.9061
As2 0.0981 0.8670 0.4061
As3 0.3940 0.0948 0.1987
As4 0.3940 0.4052 0.6987
As5 0.6060 0.5948 0.3013
As6 0.6060 0.9052 0.8013
As7 0.9019 0.1330 0.5939
As8 0.9019 0.3670 0.0939
O1 0.0444 0.2090 0.5847
O2 0.0444 0.2910 0.0847
O3 0.0860 0.5579 0.6808
O4 0.0860 0.9421 0.1808
O5 0.1295 0.5544 0.1195
O6 0.1295 0.9456 0.6195
O7 0.2204 0.7268 0.8695
O8 0.2204 0.7732 0.3695
O9 0.2767 0.0827 0.9808
O10 0.2767 0.4173 0.4808
O11 0.2937 0.1431 0.3672
O12 0.2937 0.3569 0.8672
O13 0.4528 0.5387 0.7614
O14 0.4528 0.9613 0.2614
O15 0.4838 0.6863 0.3182
O16 0.4838 0.8137 0.8182
O17 0.5162 0.1863 0.1819
O18 0.5162 0.3137 0.6818
O19 0.5472 0.0387 0.7386
O20 0.5472 0.4613 0.2386
O21 0.7063 0.6431 0.1328
O22 0.7063 0.8569 0.6328
O23 0.7233 0.5827 0.5192
O24 0.7233 0.9173 0.0192
O25 0.7796 0.2268 0.6305
O26 0.7796 0.2732 0.1305
O27 0.8705 0.0544 0.3805
O28 0.8705 0.4456 0.8805
O29 0.9140 0.0579 0.8192
O30 0.9140 0.4421 0.3192
O31 0.9556 0.7090 0.9153
O32 0.9556 0.7910 0.4153

Output
Calculated formation energy in eV/f.u.: -16.162
Space-group type: P2_1/c

---

(3)
VASP calculation (PBE) on a geometry-optimized La2Ta2O9 structure.

Lattice parameters (Å, degrees): 8.1188 8.1188 6.7915 111.62 111.62 27.97
Fractional positions:
La1 0.1951 0.1951 0.1865
La2 0.8049 0.8049 0.8135
Ta1 0.4619 0.4619 0.1960
Ta2 0.5381 0.5381 0.8040
O1 0.0467 0.0467 0.8369
O2 0.2216 0.2216 0.5636
O3 0.3258 0.3258 0.0808
O4 0.4207 0.4207 0.8450
O5 0.5000 0.5000 0.5000
O6 0.5793 0.5793 0.1550
O7 0.6742 0.6742 0.9192
O8 0.7784 0.7784 0.4364
O9 0.9533 0.9533 0.1631

Output
Calculated formation energy in eV/f.u.: -42.963
Space-group type: C2/m

---

(4)
VASP calculation (PBE) on a geometry-optimized Al2O3 structure.

Lattice parameters (Å, degrees): 10.1652 10.2332 10.4979 87.78 89.15 87.57
Fractional positions:
Al1 0.0000 0.0000 0.0000
Al2 0.0021 0.8912 0.3260
Al3 0.0239 0.2218 0.8085
Al4 0.0445 0.0295 0.6284
Al5 0.0528 0.7398 0.7262
Al6 0.0629 0.3400 0.4087
Al7 0.1247 0.5407 0.5971
Al8 0.1287 0.4640 0.1216
Al9 0.1919 0.7490 0.1239
Al10 0.2181 0.9410 0.8720
Al11 0.2246 0.0603 0.4181
Al12 0.2721 0.7653 0.4165
Al13 0.2879 0.2198 0.2224
Al14 0.2914 0.2486 0.6495
Al15 0.3214 0.2298 0.9153
Al16 0.3372 0.6959 0.7104
Al17 0.3796 0.9959 0.1063
Al18 0.3929 0.5142 0.9983
Al19 0.4148 0.5254 0.2557
Al20 0.4778 0.3103 0.4106
Al21 0.4826 0.9994 0.4483
Al22 0.5428 0.7846 0.0710
Al23 0.5439 0.6232 0.4572
Al24 0.5687 0.6416 0.8043
Al25 0.5763 0.4241 0.6392
Al26 0.5895 0.1184 0.2278
Al27 0.5933 0.1349 0.7265
Al28 0.6063 0.8758 0.6803
Al29 0.6115 0.3447 0.9228
Al30 0.6902 0.5724 0.1046
Al31 0.6938 0.0298 0.9681
Al32 0.7267 0.8348 0.3188
Al33 0.7688 0.3624 0.3258
Al34 0.7982 0.6506 0.5742
Al35 0.8317 0.8396 0.8166
Al36 0.8402 0.3246 0.6230
Al37 0.8632 0.0940 0.2275
Al38 0.8840 0.3176 0.0525
Al39 0.9504 0.6063 0.2487
Al40 0.9863 0.5184 0.8525
O1 0.0486 0.6444 0.1147
O2 0.0642 0.4696 0.2891
O3 0.0742 0.9655 0.4615
O4 0.0814 0.0432 0.8246
O5 0.1321 0.8690 0.0039
O6 0.1327 0.5685 0.7640
O7 0.1503 0.2110 0.3434
O8 0.1508 0.3842 0.5462
O9 0.1558 0.7839 0.2933
O10 0.1934 0.2814 0.8005
O11 0.2058 0.1109 0.5906
O12 0.2099 0.8165 0.7574
O13 0.2169 0.3077 0.0828
O14 0.2375 0.6696 0.5613
O15 0.2706 0.0341 0.2393
O16 0.2771 0.5650 0.1202
O17 0.3072 0.0559 0.9571
O18 0.3425 0.9067 0.4666
O19 0.3597 0.3696 0.2929
O20 0.3675 0.8102 0.1034
O21 0.3910 0.6091 0.8581
O22 0.4038 0.1510 0.4130
O23 0.4045 0.6637 0.3561
O24 0.4223 0.1803 0.7612
O25 0.4282 0.3493 0.5722
O26 0.4374 0.3535 0.9556
O27 0.4476 0.1599 0.1426
O28 0.4731 0.7990 0.7439
O29 0.4938 0.5962 0.6201
O30 0.5172 0.5420 0.1180
O31 0.5508 0.9510 0.0303
O32 0.5694 0.4723 0.3793
O33 0.5728 0.0162 0.5868
O34 0.5802 0.9600 0.3134
O35 0.6119 0.4675 0.8004
O36 0.6360 0.2451 0.3316
O37 0.6376 0.6830 0.9575
O38 0.6534 0.1841 0.8860
O39 0.6651 0.7387 0.1885
O40 0.6735 0.2657 0.6406
O41 0.6741 0.7374 0.4641
O42 0.6834 0.9693 0.7936
O43 0.7221 0.7374 0.7090
O44 0.7269 0.0979 0.1235
O45 0.7288 0.4071 0.0273
O46 0.7387 0.4919 0.5798
O47 0.8010 0.5161 0.2338
O48 0.8298 0.9760 0.3495
O49 0.8480 0.9292 0.9592
O50 0.8806 0.2663 0.2178
O51 0.8897 0.3368 0.4530
O52 0.8972 0.7475 0.3270
O53 0.9249 0.3858 0.7672
O54 0.9300 0.6870 0.8475
O55 0.9437 0.1746 0.6607
O56 0.9487 0.1819 0.9677
O57 0.9514 0.8856 0.6900
O58 0.9734 0.6411 0.5840
O59 0.9974 0.9976 0.1736
O60 0.9985 0.4386 0.0057

Output
Calculated formation energy in eV/f.u.: -16.329
Space-group type: P1

---

(5)
VASP calculation (PBE) on a geometry-optimized SbAsNO4F2 structure.

Lattice parameters (Å, degrees): 7.6396 8.6037 11.1599 90.00 93.85 90.00
Fractional positions:
Sb1 0.1869 0.1549 0.1246
Sb2 0.1869 0.3451 0.6246
Sb3 0.8131 0.6549 0.3754
Sb4 0.8131 0.8451 0.8754
As1 0.1582 0.0656 0.8232
As2 0.1582 0.4344 0.3232
As3 0.8418 0.5656 0.6768
As4 0.8418 0.9344 0.1768
N1 0.3003 0.5542 0.9786
N2 0.3003 0.9458 0.4786
N3 0.6997 0.0542 0.5214
N4 0.6997 0.4458 0.0214
O1 0.0736 0.5397 0.6646
O2 0.0736 0.9603 0.1646
O3 0.1566 0.2337 0.2889
O4 0.1566 0.2663 0.7889
O5 0.2499 0.0603 0.9718
O6 0.2499 0.4397 0.4718
O7 0.2562 0.5534 0.2349
O8 0.2562 0.9466 0.7349
O9 0.7438 0.0534 0.2651
O10 0.7438 0.4466 0.7651
O11 0.7501 0.5603 0.5282
O12 0.7501 0.9397 0.0282
O13 0.8434 0.7337 0.2111
O14 0.8434 0.7663 0.7111
O15 0.9264 0.0397 0.8354
O16 0.9264 0.4603 0.3354
F1 0.0268 0.2000 0.5519
F2 0.0268 0.3000 0.0519
F3 0.4271 0.2092 0.1441
F4 0.4271 0.2908 0.6441
F5 0.5729 0.7092 0.3559
F6 0.5729 0.7908 0.8559
F7 0.9732 0.7000 0.9481
F8 0.9732 0.8000 0.4481

Output
Calculated formation energy in eV/f.u.: -9.289
Space-group type: P2_1/c

---

(6)
VASP calculation (PBE) on a geometry-optimized Na2TaAl3Si2S4O24 structure.

Lattice parameters (Å, degrees): 8.4944 8.5109 22.1458 90.50 90.17 119.82
Fractional positions:
Na1 0.0000 0.0000 0.0000
Na2 0.0108 0.9981 0.4991
Na3 0.3448 0.6706 0.6674
Na4 0.3587 0.6823 0.1602
Na5 0.6737 0.3143 0.3334
Na6 0.7029 0.3557 0.8331
Ta1 0.3415 0.6555 0.8138
Ta2 0.3604 0.6871 0.3114
Ta3 0.7003 0.3317 0.9799
Al1 0.0025 0.9811 0.8591
Al2 0.0192 0.0062 0.3533
Al3 0.0210 0.9984 0.1448
Al4 0.0228 0.9937 0.6506
Al5 0.3695 0.6644 0.0216
Al6 0.3698 0.6762 0.5186
Al7 0.6639 0.3053 0.1875
Al8 0.6840 0.3238 0.4820
Al9 0.6973 0.3437 0.6892
Si1 0.0121 0.7170 0.7489
Si2 0.0788 0.3699 0.9220
Si3 0.2980 0.0196 0.2505
Si4 0.6450 0.6714 0.9202
Si5 0.6591 0.9663 0.4230
Si6 0.6828 0.0281 0.0886
S1 0.0128 0.2814 0.2509
S2 0.0623 0.6652 0.4220
S3 0.3070 0.2773 0.7481
S4 0.3457 0.9498 0.9198
S5 0.3546 0.3784 0.4214
S6 0.3958 0.3320 0.0876
S7 0.3995 0.0482 0.5850
S8 0.6844 0.6176 0.5839
S9 0.7390 0.0074 0.7478
S10 0.7419 0.7101 0.2502
S11 0.9764 0.6220 0.0895
S12 0.9778 0.3340 0.5844
O1 0.0459 0.2032 0.1969
O2 0.0505 0.8294 0.4140
O3 0.0509 0.8328 0.6881
O4 0.0616 0.1809 0.9055
O5 0.1399 0.6270 0.3659
O6 0.1494 0.4983 0.8598
O7 0.1524 0.6342 0.0812
O8 0.1600 0.4976 0.5768
O9 0.1737 0.9711 0.1916
O10 0.1790 0.6911 0.4752
O11 0.1838 0.4631 0.2600
O12 0.1901 0.4748 0.9808
O13 0.1909 0.9743 0.9104
O14 0.1921 0.2024 0.6931
O15 0.1944 0.1969 0.4146
O16 0.1977 0.6947 0.7544
O17 0.2076 0.0306 0.3129
O18 0.2179 0.0341 0.5902
O19 0.2176 0.1667 0.0930
O20 0.2308 0.1796 0.8029
O21 0.3187 0.8417 0.9733
O22 0.3200 0.4621 0.4753
O23 0.3206 0.8291 0.2579
O24 0.3315 0.4666 0.7516
O25 0.3735 0.4921 0.0824
O26 0.3764 0.8627 0.5779
O27 0.3826 0.4870 0.3662
O28 0.3841 0.8741 0.8634
O29 0.4788 0.3050 0.0324
O30 0.4835 0.1592 0.5309
O31 0.4885 0.2960 0.7388
O32 0.4978 0.8374 0.0779
O33 0.5032 0.1873 0.2465
O34 0.5119 0.1317 0.9243
O35 0.5131 0.3671 0.1415
O36 0.5142 0.1318 0.6393
O37 0.5156 0.6310 0.5779
O38 0.5219 0.3670 0.4300
O39 0.5235 0.8679 0.3618
O40 0.5247 0.6388 0.8570
O41 0.5477 0.6808 0.2578
O42 0.5547 0.7043 0.9776
O43 0.5572 0.8412 0.7523
O44 0.5593 0.8326 0.4784
O45 0.6512 0.4819 0.9259
O46 0.6544 0.1300 0.1450
O47 0.6564 0.5059 0.6378
O48 0.6682 0.1605 0.4286
O49 0.7100 0.1647 0.7392
O50 0.7142 0.5330 0.5295
O51 0.7172 0.1602 0.0284
O52 0.7237 0.5308 0.2427
O53 0.8092 0.8242 0.1970
O54 0.8224 0.9802 0.6928
O55 0.8384 0.5116 0.7420
O56 0.8417 0.7916 0.3065
O57 0.8425 0.8411 0.9129
O58 0.8441 0.8029 0.5897
O59 0.8463 0.0417 0.8029
O60 0.8516 0.9802 0.4078
O61 0.8604 0.3163 0.2448
O62 0.8628 0.5419 0.0324
O63 0.8638 0.3031 0.5301
O64 0.8669 0.0157 0.0946
O65 0.8747 0.3510 0.9242
O66 0.8804 0.5052 0.4290
O67 0.8846 0.5097 0.1419
O68 0.8946 0.3643 0.6387
O69 0.9814 0.1743 0.3062
O70 0.9927 0.8023 0.0925
O71 0.9934 0.8138 0.8086
O72 0.9967 0.1697 0.5917

Output
Calculated formation energy in eV/f.u.: -92.772
Space-group type: P1

---

(7)
VASP calculation (PBE) on a geometry-optimized Cs2NaBiF6 structure.

Lattice parameters (Å, degrees): 6.6081 6.6081 6.6081 60.00 60.00 60.00
Fractional positions:
Cs1 0.2500 0.2500 0.2500
Cs2 0.7500 0.7500 0.7500
Na1 0.0000 0.0000 0.0000
Bi1 0.5000 0.5000 0.5000
F1 0.2555 0.2555 0.7445
F2 0.2555 0.7445 0.2555
F3 0.2555 0.7445 0.7445
F4 0.7445 0.2555 0.2555
F5 0.7445 0.2555 0.7445
F6 0.7445 0.7445 0.2555

Output
Calculated formation energy in eV/f.u.: -29.320
Space-group type: Fm-3m

---

(8)
VASP calculation (PBE) on a geometry-optimized KInBr3 structure.

Lattice parameters (Å, degrees): 8.1817 8.1817 8.1817 60.00 60.00 60.00
Fractional positions:
K1 0.2500 0.2500 0.2500
K2 0.7500 0.7500 0.7500
In1 0.0000 0.0000 0.0000
In2 0.5000 0.5000 0.5000
Br1 0.2359 0.2359 0.7641
Br2 0.2359 0.7641 0.2359
Br3 0.2359 0.7641 0.7641
Br4 0.7641 0.2359 0.2359
Br5 0.7641 0.2359 0.7641
Br6 0.7641 0.7641 0.2359

Output
Calculated formation energy in eV/f.u.: -7.287
Space-group type: Fm-3m

---

(9)
VASP calculation (PBE) on a geometry-optimized ZrTiNi2H6 structure.

Lattice parameters (Å, degrees): 4.2756 5.4347 5.4347 36.92 90.00 90.00
Fractional positions:
Zr1 0.0000 0.0000 0.0000
Ti1 0.5000 0.2833 0.2833
Ni1 0.0000 0.7148 0.7148
Ni2 0.5000 0.5762 0.5762
H1 0.0000 0.2149 0.2149
H2 0.2572 0.4485 0.4485
H3 0.2738 0.8257 0.8257
H4 0.5000 0.0818 0.0818
H5 0.7262 0.8257 0.8257
H6 0.7428 0.4485 0.4485

Output
Calculated formation energy in eV/f.u.: -4.729
Space-group type: Amm2

---

Q: calculated formation energy of number 8 (KInBr3)?
A: -7.287 eV/f.u.

---

Q: What is the formula in the first record?
A: LiH4CSNO2